Record 1
An optimized crystal structure of SrMgTl2, computed with PBE-GGA.

```
data_SrMgTl2
_cell_length_a 5.496
_cell_length_b 5.496
_cell_length_c 5.496
_cell_angle_alpha 60.00
_cell_angle_beta 60.00
_cell_angle_gamma 60.00
_space_group_name_H-M_alt 'P 1'
_space_group_IT_number 1
loop_
_space_group_symop_operation_xyz
'x,y,z'
loop_
_atom_site_label
_atom_site_fract_x
_atom_site_fract_y
_atom_site_fract_z
Sr1 0.000 0.000 0.000
Mg1 0.500 0.500 0.500
Tl1 0.250 0.250 0.250
Tl2 0.750 0.750 0.750
```

Results
Its energy relative to the elements is -0.284 eV per atom. The space group is No. 225. The value obtained for the calculated total energy is -0.168 Ry per atom.

=====

Record 2
An optimized crystal structure of MnFeGe, computed with PBE-GGA.

```
data_MnFeGe
_cell_length_a 4.101
_cell_length_b 4.101
_cell_length_c 5.047
_cell_angle_alpha 90.00
_cell_angle_beta 90.00
_cell_angle_gamma 120.00
_space_group_name_H-M_alt 'P 1'
_space_group_IT_number 1
loop_
_space_group_symop_operation_xyz
'x,y,z'
loop_
_atom_site_label
_atom_site_fract_x
_atom_site_fract_y
_atom_site_fract_z
Mn1 0.000 0.000 0.000
Mn2 0.000 0.000 0.500
Fe1 0.667 0.333 0.250
Fe2 0.333 0.667 0.750
Ge1 0.667 0.333 0.750
Ge2 0.333 0.667 0.250
```

Results
Its energy relative to the elements is -0.076 eV per atom. The space group is No. 194. Its total magnetic moment is 5.5 Bohr magnetons per cell. The value obtained for the calculated total energy is -0.551 Ry per atom.

=====

Record 3
An optimized crystal structure of RuC, computed with PBE-GGA.

```
data_RuC
_cell_length_a 3.229
_cell_length_b 3.229
_cell_length_c 3.229
_cell_angle_alpha 60.00
_cell_angle_beta 60.00
_cell_angle_gamma 60.00
_space_group_name_H-M_alt 'P 1'
_space_group_IT_number 1
loop_
_space_group_symop_operation_xyz
'x,y,z'
loop_
_atom_site_label
_atom_site_fract_x
_atom_site_fract_y
_atom_site_fract_z
Ru1 0.000 0.000 0.000
C1 0.250 0.250 0.250
```

Results
Its energy relative to the elements is 0.454 eV per atom. The space group is No. 216. Its total magnetic moment is 0.0 Bohr magnetons per cell. For the distance to the lowest polymorph of the same formula, the calculation gives 0.18 eV/f.u. The value obtained for the calculated total energy is -0.647 Ry per atom.

=====

Record 4
An optimized crystal structure of ThFe5, computed with PBE-GGA.

```
data_ThFe5
_cell_length_a 4.044
_cell_length_b 5.071
_cell_length_c 5.071
_cell_angle_alpha 60.00
_cell_angle_beta 90.00
_cell_angle_gamma 90.00
_space_group_name_H-M_alt 'P 1'
_space_group_IT_number 1
loop_
_space_group_symop_operation_xyz
'x,y,z'
loop_
_atom_site_label
_atom_site_fract_x
_atom_site_fract_y
_atom_site_fract_z
Th1 0.000 0.000 0.000
Fe1 0.500 0.000 0.500
Fe2 0.000 0.667 0.667
Fe3 0.000 0.333 0.333
Fe4 0.500 0.500 0.000
Fe5 0.500 0.500 0.500
```

Results
Its energy relative to the elements is -0.054 eV per atom. The space group is No. 191. The value obtained for the calculated total energy is -0.614 Ry per atom.

=====

Record 5
An optimized crystal structure of Nb2ReTc, computed with PBE-GGA.

```
data_Nb2ReTc
_cell_length_a 4.531
_cell_length_b 4.531
_cell_length_c 4.531
_cell_angle_alpha 60.00
_cell_angle_beta 60.00
_cell_angle_gamma 60.00
_space_group_name_H-M_alt 'P 1'
_space_group_IT_number 1
loop_
_space_group_symop_operation_xyz
'x,y,z'
loop_
_atom_site_label
_atom_site_fract_x
_atom_site_fract_y
_atom_site_fract_z
Nb1 0.250 0.250 0.250
Nb2 0.750 0.750 0.750
Re1 0.500 0.500 0.500
Tc1 0.000 0.000 0.000
```

Results
Its energy relative to the elements is -0.298 eV per atom. The space group is No. 225. The value obtained for the calculated total energy is -0.812 Ry per atom.

=====

Record 6
An optimized crystal structure of Zr6Zn23Ge, computed with PBE-GGA.

```
data_Zr6Zn23Ge
_cell_length_a 8.812
_cell_length_b 8.812
_cell_length_c 8.812
_cell_angle_alpha 60.00
_cell_angle_beta 60.00
_cell_angle_gamma 60.00
_space_group_name_H-M_alt 'P 1'
_space_group_IT_number 1
loop_
_space_group_symop_operation_xyz
'x,y,z'
loop_
_atom_site_label
_atom_site_fract_x
_atom_site_fract_y
_atom_site_fract_z
Zr1 0.713 0.287 0.287
Zr2 0.287 0.713 0.713
Zr3 0.287 0.713 0.287
Zr4 0.713 0.287 0.713
Zr5 0.287 0.287 0.713
Zr6 0.713 0.713 0.287
Zn1 0.123 0.123 0.123
Zn2 0.877 0.877 0.877
Zn3 0.123 0.123 0.631
Zn4 0.123 0.631 0.123
Zn5 0.877 0.877 0.369
Zn6 0.877 0.369 0.877
Zn7 0.631 0.123 0.123
Zn8 0.369 0.877 0.877
Zn9 0.500 0.000 0.000
Zn10 0.000 0.500 0.500
Zn11 0.000 0.500 0.000
Zn12 0.500 0.000 0.500
Zn13 0.000 0.000 0.500
Zn14 0.500 0.500 0.000
Zn15 0.336 0.336 0.336
Zn16 0.664 0.664 0.664
Zn17 0.336 0.336 0.992
Zn18 0.336 0.992 0.336
Zn19 0.664 0.664 0.008
Zn20 0.664 0.008 0.664
Zn21 0.992 0.336 0.336
Zn22 0.008 0.664 0.664
Zn23 0.000 0.000 0.000
Ge1 0.500 0.500 0.500
```

Results
Its energy relative to the elements is -0.289 eV per atom. The space group is No. 225. The value obtained for the calculated total energy is -0.229 Ry per atom.

=====

Record 7
An optimized crystal structure of HfMg14Mo, computed with PBE-GGA.

```
data_HfMg14Mo
_cell_length_a 6.326
_cell_length_b 6.326
_cell_length_c 10.002
_cell_angle_alpha 90.00
_cell_angle_beta 90.00
_cell_angle_gamma 120.00
_space_group_name_H-M_alt 'P 1'
_space_group_IT_number 1
loop_
_space_group_symop_operation_xyz
'x,y,z'
loop_
_atom_site_label
_atom_site_fract_x
_atom_site_fract_y
_atom_site_fract_z
Hf1 0.167 0.333 0.625
Mg1 0.166 0.833 0.125
Mg2 0.174 0.837 0.625
Mg3 0.667 0.334 0.125
Mg4 0.663 0.326 0.625
Mg5 0.667 0.833 0.125
Mg6 0.663 0.837 0.625
Mg7 0.326 0.174 0.367
Mg8 0.326 0.174 0.883
Mg9 0.326 0.652 0.367
Mg10 0.326 0.652 0.883
Mg11 0.848 0.174 0.367
Mg12 0.848 0.174 0.883
Mg13 0.833 0.667 0.380
Mg14 0.833 0.667 0.870
Mo1 0.167 0.333 0.125
```

Results
Its energy relative to the elements is 0.170 eV per atom. The space group is No. 187. Its total magnetic moment is 0.9 Bohr magnetons per cell. For the distance to the lowest polymorph of the same formula, the calculation gives 0.93 eV/f.u. The value obtained for the calculated total energy is -0.186 Ry per atom.